Entry 1:
First-principles (GGA-PBE) data for a relaxed Ca3N2 crystal, as listed in the Materials Project.

a b c (Å): 4.601 4.601 4.601
angles (deg): 90.00 90.00 90.00
Space group Pm-3m (No. 221)
Asymmetric unit:
Ca: 0.000 0.000 0.500 x3
N: 0.000 0.000 0.000 x1
N: 0.500 0.500 0.500 x1

Output
ΔE to the lowest computed polymorph ... 0.511 eV/atom
Final energy ... -24.08 eV per cell
Calculated formation energy ... -0.422 eV per atom


Entry 2:
First-principles (GGA-PBE) data for a relaxed Ca11N8 crystal, as listed in the Materials Project.

a b c (Å): 13.949 13.949 3.659
angles (deg): 90.00 90.00 90.00
Space group P4_2/mnm (No. 136)
Asymmetric unit:
Ca: 0.000 0.000 0.000 x2
Ca: 0.030 0.211 0.500 x8
Ca: 0.119 0.622 0.500 x8
Ca: 0.172 0.828 0.000 x4
N: 0.032 0.692 0.000 x8
N: 0.087 0.913 0.500 x4
N: 0.203 0.203 0.500 x4

Output
Final energy ... -198.99 eV per cell
Calculated formation energy ... -0.717 eV per atom


Entry 3:
First-principles (GGA-PBE) data for a relaxed Ca3N2 crystal, as listed in the Materials Project.

a b c (Å): 15.073 3.789 9.363
angles (deg): 90.00 100.53 90.00
Space group C2/m (No. 12)
Asymmetric unit:
Ca: 0.000 0.000 0.000 x2
Ca: 0.032 0.000 0.661 x4
Ca: 0.126 0.500 0.278 x4
Ca: 0.172 0.500 0.965 x4
Ca: 0.210 0.500 0.621 x4
N: 0.031 0.500 0.812 x4
N: 0.141 0.000 0.488 x4
N: 0.183 0.000 0.130 x4

Output
ΔE to the lowest computed polymorph ... 0.048 eV/atom
Final energy ... -158.36 eV per cell
Calculated formation energy ... -0.885 eV per atom


Entry 4:
First-principles (GGA-PBE) data for a relaxed Ca3N2 crystal, as listed in the Materials Project.

a b c (Å): 3.8544 3.8544 6.9328
angles (deg): 90.00 90.00 120.00
Space group P-3m1 (No. 164)
Asymmetric unit:
Ca: 0.0000 0.0000 0.0000 x1
Ca: 0.3333 0.6667 0.6660 x2
N: 0.3333 0.6667 0.2288 x2

Output
ΔE to the lowest computed polymorph ... 0.093 eV/atom
Final energy ... -26.17 eV per cell
Calculated formation energy ... -0.840 eV per atom


Entry 5:
First-principles (GGA-PBE) data for a relaxed Ca7NbSi2N9 crystal, as listed in the Materials Project.

a b c (Å): 6.066 9.965 9.024
angles (deg): 90.00 91.97 90.00
Space group P2_1/m (No. 11)
Asymmetric unit:
Ca: 0.069 0.057 0.166 x4
Ca: 0.250 0.577 0.495 x4
Ca: 0.409 0.750 0.801 x2
Ca: 0.430 0.078 0.831 x4
Nb: 0.221 0.250 0.438 x2
Si: 0.041 0.250 0.722 x2
Si: 0.177 0.750 0.062 x2
N: 0.058 0.750 0.667 x2
N: 0.120 0.250 0.916 x2
N: 0.134 0.109 0.631 x4
N: 0.254 0.750 0.259 x2
N: 0.268 0.601 0.982 x4
N: 0.386 0.098 0.342 x4

Output
Final energy ... -264.75 eV per cell
Calculated formation energy ... -1.348 eV per atom


Entry 6:
First-principles (GGA-PBE) data for a relaxed Ca3NiN3 crystal, as listed in the Materials Project.

a b c (Å): 7.1401 7.1401 5.0090
angles (deg): 90.00 90.00 120.00
Space group P6_3/m (No. 176)
Asymmetric unit:
Ca: 0.0820 0.3614 0.2500 x6
Ni: 0.3333 0.6667 0.7500 x2
N: 0.0983 0.3998 0.7500 x6

Output
Final energy ... -81.60 eV per cell
Calculated formation energy ... -0.725 eV per atom